Record 1
Here is LiNiP3O9 after structural relaxation from the Materials Project database. Energies are from PBE with a Hubbard U. Values from VASP.

Structure (Quantum ESPRESSO input):
```
&SYSTEM
  ibrav = 0, nat = 56, ntyp = 4
/
ATOMIC_SPECIES
Li 6.94 Li.upf
Ni 58.69 Ni.upf
P 30.97 P.upf
O 16.00 O.upf
ATOMIC_POSITIONS angstrom
Li -7.395 2.998 -3.279
Li -7.812 3.072 4.671
Li -4.839 9.257 7.682
Li -6.392 -0.090 7.244
Ni -3.074 4.721 5.745
Ni -7.318 -1.352 2.245
Ni -5.916 4.638 1.471
Ni -10.130 7.230 6.857
P -8.248 -1.482 5.384
P -4.548 -0.058 2.461
P -6.949 4.522 9.464
P -4.011 2.772 3.220
P -5.980 4.367 6.652
P -2.587 7.918 6.274
P -7.703 6.025 5.016
P -4.485 9.456 4.717
P -9.412 0.386 0.580
P -6.067 7.558 3.053
P -11.425 1.473 2.487
P -7.899 2.777 -0.356
O -4.277 -1.267 3.520
O -5.613 3.994 9.922
O -3.935 1.181 3.310
O -4.526 4.477 7.031
O -7.985 3.294 9.504
O -7.781 -1.885 4.015
O -7.823 -0.172 5.979
O -3.747 -0.274 1.214
O -3.668 3.285 4.579
O -7.538 5.713 10.144
O -6.566 3.096 6.119
O -3.245 8.207 7.592
O -2.806 6.602 5.586
O -2.853 3.159 2.174
O -6.043 0.119 2.427
O -6.849 4.894 7.916
O -5.327 3.158 2.593
O -6.253 5.591 5.611
O -9.976 4.294 8.352
O -9.017 -0.631 1.623
O -4.907 8.046 4.034
O -4.558 4.966 0.103
O -8.301 1.548 0.605
O -8.452 6.679 6.139
O -8.307 4.873 4.266
O -5.355 9.733 5.905
O -5.575 6.301 2.416
O -9.656 -0.061 -0.823
O -10.771 2.683 3.079
O -7.064 2.329 -1.520
O -7.399 3.841 0.576
O -7.299 7.237 4.034
O -11.311 5.675 6.756
O -10.747 1.116 1.057
O -6.481 8.716 2.180
O -5.932 6.620 -1.166
CELL_PARAMETERS angstrom
-5.081 4.534 -4.404
-7.000 -4.783 3.151
-1.139 7.867 9.412
```

Energy of formation = -2405 meV/atom
Distance to the lowest polymorph of the same formula = 0.093 eV per atom
Calculated total energy = -373.6 eV for the cell shown
Calculated density = 2.2 g/cm3


Record 2
Here is Ba3Sr5Co3Cu5O20 after structural relaxation from the Materials Project database. Energies are from PBE with a Hubbard U. Values from VASP.

Structure (Quantum ESPRESSO input):
```
&SYSTEM
  ibrav = 0, nat = 144, ntyp = 5
/
ATOMIC_SPECIES
Ba 137.33 Ba.upf
Sr 87.62 Sr.upf
Co 58.93 Co.upf
Cu 63.55 Cu.upf
O 16.00 O.upf
ATOMIC_POSITIONS angstrom
Ba -1.103 -0.518 3.194
Ba -3.173 -5.415 1.529
Ba -5.305 0.117 6.770
Ba -7.442 -4.731 5.121
Ba 0.143 -10.315 1.912
Ba 7.523 -11.892 6.663
Ba 5.384 -6.261 11.881
Ba -0.067 -3.407 0.524
Ba -2.179 -8.253 -1.100
Ba -4.276 -2.679 4.132
Ba -6.369 -7.605 2.481
Ba 2.214 -8.377 12.831
Sr 6.309 -2.199 7.844
Sr 4.154 -7.048 6.277
Sr 1.998 -1.460 11.504
Sr 0.006 -6.399 9.789
Sr 2.343 -5.426 3.703
Sr 9.720 -6.938 8.432
Sr -1.913 -4.715 7.320
Sr -4.123 -9.631 5.700
Sr 3.329 -11.218 10.402
Sr 7.341 -4.942 5.247
Sr 5.265 -9.846 3.594
Sr 3.065 -4.255 8.906
Sr 1.018 -9.110 7.217
Sr 1.223 -2.587 6.330
Sr 8.673 -4.210 11.011
Sr -0.827 -7.510 4.660
Sr 6.480 -9.143 9.420
Sr -3.032 -1.932 9.969
Sr 4.355 -3.531 14.691
Sr -5.106 -6.873 8.298
Co 6.395 -1.967 16.704
Co 4.159 -6.678 15.017
Co 6.325 -12.352 9.708
Co 3.232 -0.988 8.437
Co 8.479 -7.436 11.371
Co 1.108 -5.838 6.736
Co 9.501 -10.180 8.751
Co 2.206 -8.720 4.170
Co 7.382 -4.613 13.988
Co 0.019 -3.086 9.415
Co 5.361 -9.626 12.462
Co -2.106 -7.983 7.713
Cu 7.499 -1.717 4.866
Cu 5.380 -6.595 3.208
Cu 11.660 -5.358 10.486
Cu 4.291 -3.817 5.842
Cu 2.258 -1.772 2.929
Cu 9.723 -3.309 7.639
Cu 0.284 -6.655 1.398
Cu 7.589 -8.116 6.058
Cu -1.919 -1.116 6.639
Cu 5.521 -2.546 11.270
Cu -3.968 -5.995 4.989
Cu 3.395 -7.582 9.584
Cu -0.968 -4.266 3.873
Cu 6.407 -5.900 8.491
Cu -3.118 -9.166 2.266
Cu 4.200 -10.792 6.853
Cu -5.198 -3.642 7.476
Cu 2.062 -5.118 12.106
Cu -7.390 -8.435 5.743
Cu 0.045 -10.171 10.391
O 5.853 -2.775 5.284
O 13.413 -4.288 9.990
O 3.674 -7.696 3.640
O 11.278 -9.139 8.288
O 1.504 -2.035 8.889
O 9.108 -3.517 13.573
O -0.409 -6.864 7.161
O 7.068 -8.485 11.905
O 12.243 -6.746 9.251
O 4.850 -5.210 4.567
O 10.097 -11.570 7.721
O 2.825 -10.159 2.924
O 7.994 -5.964 12.920
O 0.665 -4.546 8.144
O 5.865 -10.913 11.306
O -1.455 -9.409 6.495
O 3.687 -2.316 7.182
O 11.131 -3.992 11.782
O 1.619 -7.188 5.419
O 9.098 -8.950 10.048
O -0.563 -1.639 10.646
O 6.963 -3.437 15.327
O -2.535 -6.647 8.957
O 4.860 -8.330 13.627
O 10.049 -6.542 11.078
O 2.669 -4.894 6.389
O 7.863 -11.394 9.447
O 0.722 -9.732 4.714
O 5.754 -5.869 14.621
O -1.396 -4.185 9.918
O 3.686 -10.804 13.020
O -3.584 -9.111 8.287
O 1.144 -1.189 1.546
O 8.537 -2.898 6.295
O -0.880 -6.168 0.062
O 6.304 -7.754 4.754
O -3.037 -0.573 5.293
O 4.212 -2.152 10.013
O -5.135 -5.468 3.669
O 2.188 -7.115 8.287
O 0.004 -4.625 5.400
O 7.473 -6.305 10.008
O -2.088 -9.578 3.747
O 5.203 -11.196 8.398
O -4.192 -4.042 8.990
O 3.075 -5.562 13.631
O -6.310 -8.797 7.183
O 1.077 -10.709 11.885
O -1.853 -3.121 2.746
O 5.440 -4.686 7.497
O -3.964 -7.979 1.149
O 3.327 -9.484 5.884
O -6.085 -2.459 6.383
O 1.246 -3.851 11.054
O -8.304 -7.282 4.594
O -0.843 -8.859 9.439
O 2.918 -2.963 4.172
O 10.401 -4.473 8.922
O 0.949 -7.836 2.651
O 8.279 -9.316 7.343
O -1.267 -2.331 7.867
O 6.170 -3.724 12.606
O -3.319 -7.224 6.230
O 4.133 -8.783 10.824
O -0.315 -0.613 5.862
O 7.064 -2.409 10.250
O -2.366 -5.556 4.160
O 5.017 -7.218 8.694
O -4.560 0.119 9.486
O 2.839 -1.653 13.916
O -6.618 -4.907 7.736
O 0.582 -6.334 12.230
O 0.054 -5.176 2.611
O 7.568 -6.510 7.184
O -2.385 -10.180 0.872
O 5.156 -11.569 5.432
O -4.172 -4.506 6.198
O 2.943 -6.085 10.720
O -6.400 -9.442 4.535
O 1.230 -10.754 9.084
CELL_PARAMETERS angstrom
-8.501 1.369 7.192
-4.224 -9.807 -3.284
14.924 -3.328 9.628
```

Energy of formation = -1943 meV/atom
Calculated total energy = -825.2 eV for the cell shown
Calculated density = 5.4 g/cm3